Sr7W4O19 after structural relaxation. Source: the Materials Project, functional r2SCAN.

Unit cell a=13.737 b=5.605 c=10.470 alpha=90.00 beta=98.22 gamma=90.00
Space group C2/m (No. 12)
One atom of each set of equivalent atoms:
Sr 0.000 0.000 0.000 [2 per cell]
Sr 0.083 0.000 0.661 [4 per cell]
Sr 0.140 0.500 0.453 [4 per cell]
Sr 0.209 0.500 0.088 [4 per cell]
W 0.036 0.500 0.819 [4 per cell]
W 0.175 0.000 0.282 [4 per cell]
O 0.000 0.500 0.000 [2 per cell]
O 0.046 0.500 0.644 [4 per cell]
O 0.071 0.259 0.215 [8 per cell]
O 0.101 0.000 0.428 [4 per cell]
O 0.122 0.254 0.870 [8 per cell]
O 0.195 0.000 0.111 [4 per cell]
O 0.242 0.258 0.654 [8 per cell]

---

LiMnF4 after structural relaxation. Source: the Materials Project, functional r2SCAN.

Unit cell a=4.483 b=5.415 c=5.209 alpha=90.00 beta=93.81 gamma=90.00
Space group P2/c (No. 13)
One atom of each set of equivalent atoms:
Li 0.000 0.147 0.250 [2 per cell]
Mn 0.500 0.342 0.750 [2 per cell]
F 0.245 0.115 0.596 [4 per cell]
F 0.267 0.402 0.095 [4 per cell]

---

ScB2 after structural relaxation. Source: the Materials Project, functional r2SCAN.

Unit cell a=3.1454 b=3.1454 c=3.5354 alpha=90.00 beta=90.00 gamma=120.00
Space group P6/mmm (No. 191)
One atom of each set of equivalent atoms:
Sc 0.0000 0.0000 0.0000 [1 per cell]
B 0.3333 0.6667 0.5000 [2 per cell]

---

TeW3O12 after structural relaxation. Source: the Materials Project, functional r2SCAN.

Unit cell a=5.140 b=5.313 c=7.381 alpha=87.53 beta=90.00 gamma=89.99
Space group P1 (No. 1)
One atom of each set of equivalent atoms:
Te 0.000 0.000 0.000 [1 per cell]
W 0.502 0.459 0.479 [1 per cell]
W 0.506 0.501 0.979 [1 per cell]
W 0.995 0.959 0.500 [1 per cell]
O 0.098 0.995 0.249 [1 per cell]
O 0.205 0.692 0.544 [1 per cell]
O 0.209 0.290 0.949 [1 per cell]
O 0.291 0.791 0.949 [1 per cell]
O 0.300 0.191 0.543 [1 per cell]
O 0.407 0.494 0.245 [1 per cell]
O 0.593 0.500 0.743 [1 per cell]
O 0.699 0.790 0.453 [1 per cell]
O 0.709 0.208 0.047 [1 per cell]
O 0.792 0.707 0.046 [1 per cell]
O 0.803 0.290 0.451 [1 per cell]
O 0.906 0.999 0.749 [1 per cell]

---

Ca2MgC3O9 after structural relaxation. Source: the Materials Project, functional r2SCAN.

Output
Polymorph energy (0 for the lowest one) = 17.5 meV per atom

Unit cell a=8.364 b=14.783 c=6.129 alpha=90.00 beta=117.45 gamma=90.00
Space group C2/c (No. 15)
One atom of each set of equivalent atoms:
Ca 0.244 0.083 0.004 [8 per cell]
Mg 0.250 0.250 0.500 [4 per cell]
C 0.000 0.097 0.250 [4 per cell]
C 0.000 0.250 0.750 [4 per cell]
C 0.000 0.410 0.250 [4 per cell]
O 0.000 0.010 0.250 [4 per cell]
O 0.000 0.322 0.250 [4 per cell]
O 0.000 0.337 0.750 [4 per cell]
O 0.122 0.206 0.720 [8 per cell]
O 0.134 0.454 0.252 [8 per cell]
O 0.142 0.140 0.277 [8 per cell]

---

BaGaCu2 after structural relaxation. Source: the Materials Project, functional r2SCAN.

Unit cell a=4.2787 b=4.2787 c=17.0990 alpha=90.00 beta=90.00 gamma=120.00
Space group R-3m (No. 166, hexagonal axes)
One atom of each set of equivalent atoms:
Ba 0.0000 0.0000 0.0000 [3 per cell]
Ga 0.0000 0.0000 0.5000 [3 per cell]
Cu 0.0000 0.0000 0.1855 [6 per cell]

---

Lu3AlC after structural relaxation. Source: the Materials Project, functional r2SCAN.

Unit cell a=4.719 b=4.719 c=4.719 alpha=90.00 beta=90.00 gamma=90.00
Space group Pm-3m (No. 221)
One atom of each set of equivalent atoms:
Lu 0.000 0.000 0.500 [3 per cell]
Al 0.500 0.500 0.500 [1 per cell]
C 0.000 0.000 0.000 [1 per cell]

---

LiTbCu2P2 after structural relaxation. Source: the Materials Project, functional r2SCAN.

Unit cell a=3.9641 b=3.9641 c=6.6010 alpha=90.00 beta=90.00 gamma=120.00
Space group P-3m1 (No. 164)
One atom of each set of equivalent atoms:
Li 0.0000 0.0000 0.0000 [1 per cell]
Tb 0.0000 0.0000 0.5000 [1 per cell]
Cu 0.3333 0.6667 0.1681 [2 per cell]
P 0.3333 0.6667 0.7641 [2 per cell]

---

CeZnPd after structural relaxation. Source: the Materials Project, functional r2SCAN.

Output
Polymorph energy (0 for the lowest one) = 0.0 meV per atom

Unit cell a=7.045 b=4.420 c=8.026 alpha=90.00 beta=90.00 gamma=90.00
Space group Pnma (No. 62)
One atom of each set of equivalent atoms:
Ce 0.033 0.250 0.195 [4 per cell]
Zn 0.152 0.250 0.569 [4 per cell]
Pd 0.232 0.750 0.393 [4 per cell]

---

Yb5Ge10Rh4 after structural relaxation. Source: the Materials Project, functional r2SCAN.

Unit cell a=12.890 b=12.890 c=4.220 alpha=90.00 beta=90.00 gamma=90.00
Space group P4/mbm (No. 127)
One atom of each set of equivalent atoms:
Yb 0.000 0.000 0.000 [2 per cell]
Yb 0.112 0.388 0.500 [4 per cell]
Yb 0.174 0.674 0.500 [4 per cell]
Ge 0.005 0.844 0.500 [8 per cell]
Ge 0.067 0.567 0.000 [4 per cell]
Ge 0.163 0.201 0.000 [8 per cell]
Rh 0.021 0.754 0.000 [8 per cell]

---

Gd2CuRu after structural relaxation. Source: the Materials Project, functional r2SCAN.

Unit cell a=6.897 b=6.897 c=6.897 alpha=90.00 beta=90.00 gamma=90.00
Space group Fm-3m (No. 225)
One atom of each set of equivalent atoms:
Gd 0.250 0.250 0.250 [8 per cell]
Cu 0.000 0.000 0.000 [4 per cell]
Ru 0.000 0.000 0.500 [4 per cell]

---

PaInO4 after structural relaxation. Source: the Materials Project, functional r2SCAN.

Unit cell a=3.768 b=3.768 c=5.252 alpha=90.00 beta=90.00 gamma=90.00
Space group P4/mmm (No. 123)
One atom of each set of equivalent atoms:
Pa 0.000 0.000 0.000 [1 per cell]
In 0.500 0.500 0.500 [1 per cell]
O 0.000 0.500 0.247 [4 per cell]

---

Ca5Ge3O11 after structural relaxation. Source: the Materials Project, functional r2SCAN.

Unit cell a=6.973 b=6.996 c=11.033 alpha=85.41 beta=84.61 gamma=77.55
Space group P-1 (No. 2)
One atom of each set of equivalent atoms:
Ca 0.005 0.031 0.243 [2 per cell]
Ca 0.076 0.451 0.754 [2 per cell]
Ca 0.289 0.702 0.004 [2 per cell]
Ca 0.318 0.674 0.494 [2 per cell]
Ca 0.458 0.094 0.767 [2 per cell]
Ge 0.194 0.184 0.464 [2 per cell]
Ge 0.207 0.214 0.016 [2 per cell]
Ge 0.453 0.428 0.267 [2 per cell]
O 0.010 0.687 0.895 [2 per cell]
O 0.025 0.712 0.606 [2 per cell]
O 0.133 0.152 0.877 [2 per cell]
O 0.164 0.159 0.621 [2 per cell]
O 0.247 0.580 0.211 [2 per cell]
O 0.284 0.967 0.388 [2 per cell]
O 0.294 0.994 0.103 [2 per cell]
O 0.365 0.343 0.423 [2 per cell]
O 0.373 0.362 0.963 [2 per cell]
O 0.400 0.777 0.795 [2 per cell]
O 0.409 0.426 0.669 [2 per cell]

---

Rb3CrF6 after structural relaxation. Source: the Materials Project, functional r2SCAN.

Unit cell a=9.016 b=9.016 c=9.016 alpha=90.00 beta=90.00 gamma=90.00
Space group Fm-3m (No. 225)
One atom of each set of equivalent atoms:
Rb 0.000 0.000 0.000 [4 per cell]
Rb 0.250 0.250 0.250 [8 per cell]
Cr 0.000 0.000 0.500 [4 per cell]
F 0.000 0.000 0.288 [24 per cell]

---

Li8Pb3 after structural relaxation. Source: the Materials Project, functional r2SCAN.

Unit cell a=8.174 b=4.740 c=10.973 alpha=90.00 beta=104.06 gamma=90.00
Space group C2/m (No. 12)
One atom of each set of equivalent atoms:
Li 0.089 0.000 0.264 [4 per cell]
Li 0.137 0.500 0.913 [4 per cell]
Li 0.179 0.000 0.535 [4 per cell]
Li 0.228 0.500 0.181 [4 per cell]
Pb 0.000 0.000 0.000 [2 per cell]
Pb 0.047 0.500 0.642 [4 per cell]

---

FeBr3 after structural relaxation. Source: the Materials Project, functional r2SCAN.

Unit cell a=6.4816 b=6.4816 c=18.9522 alpha=90.00 beta=90.00 gamma=120.00
Space group R-3 (No. 148, hexagonal axes)
One atom of each set of equivalent atoms:
Fe 0.0000 0.0000 0.1663 [6 per cell]
Br 0.0006 0.3575 0.4229 [18 per cell]

---

Sm12Co6Sn after structural relaxation. Source: the Materials Project, functional r2SCAN.

Unit cell a=9.884 b=9.884 c=9.884 alpha=90.00 beta=90.00 gamma=90.00
Space group Im-3 (No. 204)
One atom of each set of equivalent atoms:
Sm 0.000 0.304 0.193 [24 per cell]
Co 0.000 0.110 0.500 [12 per cell]
Sn 0.000 0.000 0.000 [2 per cell]

---

| no. | energy of formation from the pure elements (meV/atom) | magnetization (μB per formula unit) | total energy (eV per atom) |
| --- | --- | --- | --- |
| 1 | -2933 | 0.0 | -17.099 |
| 2 | -2969 | 4.0 | -7.898 |
| 3 | -887 | 0.0 | -9.584 |
| 4 | -1945 | 0.0 | -17.644 |
| 5 | -2328 | 0.0 | -9.118 |
| 6 | -223 | 0.0 | -15.132 |
| 7 | -623 | 0.0 | -26.807 |
| 8 | -913 | 0.0 | -13.131 |
| 9 | -685 | 1.1 | -21.589 |
| 10 | -835 | 0.0 | -22.831 |
| 11 | -236 | 14.3 | -31.003 |
| 12 | -2994 | 0.0 | -23.549 |
| 13 | -2729 | 0.0 | -10.229 |
| 14 | -3076 | 3.0 | -10.638 |
| 15 | -409 | 0.0 | -17.495 |
| 16 | -693 | 5.0 | -14.241 |
| 17 | -153 | 0.7 | -24.414 |